First-principles (PBE) data for a relaxed Na4LaNbSi3O12 crystal, as listed in the Materials Project database.

Cell: 9.556 9.556 22.176 Å, 90.00 90.00 120.00°
Fractional positions:
O (0.849, 0.380, 0.919)
O (0.776, 0.009, 0.815)
O (0.870, 0.519, 0.744)
O (0.234, 0.009, 0.315)
O (0.620, 0.469, 0.919)
O (0.657, 0.100, 0.148)
O (0.516, 0.713, 0.253)
O (0.537, 0.853, 0.077)
O (0.516, 0.803, 0.753)
O (0.657, 0.558, 0.648)
O (0.197, 0.713, 0.753)
O (0.849, 0.469, 0.419)
O (0.531, 0.380, 0.419)
O (0.147, 0.684, 0.077)
O (0.870, 0.351, 0.244)
O (0.234, 0.224, 0.815)
O (0.991, 0.224, 0.315)
O (0.109, 0.433, 0.981)
O (0.162, 0.191, 0.697)
O (0.696, 0.525, 0.530)
O (0.197, 0.484, 0.253)
O (0.696, 0.171, 0.030)
O (0.324, 0.891, 0.981)
O (0.809, 0.838, 0.197)
O (0.649, 0.130, 0.744)
O (0.324, 0.433, 0.481)
O (0.983, 0.796, 0.411)
O (0.029, 0.191, 0.197)
O (0.829, 0.525, 0.030)
O (0.442, 0.343, 0.148)
O (0.475, 0.304, 0.030)
O (0.316, 0.463, 0.077)
O (0.953, 0.817, 0.086)
O (0.183, 0.136, 0.086)
O (0.864, 0.817, 0.586)
O (0.900, 0.558, 0.148)
O (0.567, 0.676, 0.981)
O (0.991, 0.766, 0.815)
O (0.442, 0.100, 0.648)
O (0.864, 0.047, 0.086)
O (0.537, 0.684, 0.577)
O (0.363, 0.858, 0.863)
O (0.287, 0.803, 0.253)
O (0.147, 0.463, 0.577)
O (0.649, 0.519, 0.244)
O (0.142, 0.505, 0.863)
O (0.809, 0.971, 0.697)
O (0.029, 0.838, 0.697)
O (0.475, 0.171, 0.530)
O (0.495, 0.858, 0.363)
O (0.162, 0.971, 0.197)
O (0.183, 0.047, 0.586)
O (0.983, 0.186, 0.911)
O (0.953, 0.136, 0.586)
O (0.620, 0.151, 0.419)
O (0.204, 0.017, 0.911)
O (0.316, 0.853, 0.577)
O (0.900, 0.343, 0.648)
O (0.776, 0.766, 0.315)
O (0.814, 0.017, 0.411)
O (0.495, 0.637, 0.863)
O (0.814, 0.796, 0.911)
O (0.531, 0.151, 0.919)
O (0.481, 0.351, 0.744)
O (0.363, 0.505, 0.363)
O (0.567, 0.891, 0.481)
O (0.109, 0.676, 0.481)
O (0.287, 0.484, 0.753)
O (0.481, 0.130, 0.244)
O (0.204, 0.186, 0.411)
O (0.142, 0.637, 0.363)
O (0.829, 0.304, 0.530)
Na (0.644, 0.634, 0.745)
Na (0.978, 0.677, 0.911)
Na (0.366, 0.356, 0.245)
Na (0.311, 0.343, 0.578)
Na (0.333, 0.667, 0.664)
Na (0.657, 0.689, 0.078)
Na (0.323, 0.022, 0.411)
Na (0.990, 0.356, 0.745)
Na (0.000, 0.000, 0.497)
Na (0.990, 0.634, 0.245)
Na (0.699, 0.022, 0.911)
Na (0.978, 0.301, 0.411)
Na (0.323, 0.301, 0.911)
Na (0.667, 0.333, 0.830)
Na (0.333, 0.667, 0.164)
Na (0.032, 0.343, 0.078)
Na (0.000, 0.000, 0.997)
Na (0.032, 0.689, 0.578)
Na (0.366, 0.010, 0.745)
Na (0.657, 0.968, 0.578)
Na (0.667, 0.333, 0.330)
Na (0.699, 0.677, 0.411)
Na (0.311, 0.968, 0.078)
Na (0.644, 0.010, 0.245)
La (0.333, 0.667, 0.008)
La (0.000, 0.000, 0.342)
La (0.000, 0.000, 0.842)
La (0.667, 0.333, 0.175)
La (0.667, 0.333, 0.675)
La (0.333, 0.667, 0.508)
Si (0.631, 0.981, 0.418)
Si (0.964, 0.316, 0.585)
Si (0.631, 0.650, 0.918)
Si (0.350, 0.369, 0.418)
Si (0.686, 0.703, 0.251)
Si (0.297, 0.983, 0.251)
Si (0.352, 0.036, 0.585)
Si (0.686, 0.983, 0.751)
Si (0.352, 0.316, 0.085)
Si (0.017, 0.703, 0.751)
Si (0.019, 0.369, 0.918)
Si (0.684, 0.648, 0.585)
Si (0.297, 0.314, 0.751)
Si (0.964, 0.648, 0.085)
Si (0.019, 0.650, 0.418)
Si (0.684, 0.036, 0.085)
Si (0.350, 0.981, 0.918)
Si (0.017, 0.314, 0.251)
Nb (0.333, 0.667, 0.315)
Nb (0.000, 0.000, 0.648)
Nb (0.667, 0.333, 0.482)
Nb (0.333, 0.667, 0.815)
Nb (0.000, 0.000, 0.148)
Nb (0.667, 0.333, 0.982)

As for the mass density: 3.4 g cm⁻³.

---

First-principles (PBE) data for a relaxed Na14La3Nb5Si12O48 crystal, as listed in the Materials Project database.

Cell: 9.385 16.297 22.498 Å, 90.06 90.04 90.04°
Fractional positions:
Na (0.000, 0.000, 0.000)
Na (0.000, 0.665, 0.332)
Na (0.113, 0.163, 0.831)
Na (0.114, 0.503, 0.501)
Na (0.116, 0.833, 0.167)
Na (0.125, 0.128, 0.501)
Na (0.131, 0.469, 0.169)
Na (0.133, 0.799, 0.831)
Na (0.173, 0.492, 0.832)
Na (0.179, 0.823, 0.501)
Na (0.300, 0.311, 0.751)
Na (0.305, 0.989, 0.085)
Na (0.306, 0.652, 0.413)
Na (0.307, 0.652, 0.912)
Na (0.313, 0.311, 0.250)
Na (0.315, 0.985, 0.590)
Na (0.442, 0.489, 0.334)
Na (0.444, 0.826, 0.998)
Na (0.478, 0.799, 0.332)
Na (0.484, 0.133, 0.998)
Na (0.486, 0.470, 0.671)
Na (0.497, 0.499, 0.998)
Na (0.499, 0.163, 0.332)
Na (0.613, 0.663, 0.832)
Na (0.614, 0.002, 0.500)
Na (0.626, 0.629, 0.501)
Na (0.631, 0.967, 0.167)
Na (0.634, 0.300, 0.831)
Na (0.672, 0.656, 0.166)
Na (0.672, 0.992, 0.832)
Na (0.680, 0.323, 0.501)
Na (0.799, 0.481, 0.085)
Na (0.800, 0.811, 0.751)
Na (0.806, 0.151, 0.911)
Na (0.807, 0.150, 0.412)
Na (0.807, 0.819, 0.247)
Na (0.815, 0.485, 0.590)
Na (0.933, 0.322, 0.001)
Na (0.940, 0.993, 0.331)
Na (0.981, 0.299, 0.332)
Na (0.982, 0.630, 0.000)
Na (0.986, 0.970, 0.671)
La (0.305, 0.988, 0.929)
La (0.306, 0.654, 0.754)
La (0.307, 0.985, 0.438)
La (0.311, 0.646, 0.260)
La (0.804, 0.160, 0.256)
La (0.805, 0.154, 0.753)
La (0.806, 0.485, 0.440)
La (0.807, 0.819, 0.095)
La (0.809, 0.481, 0.933)
Nb (0.304, 0.988, 0.234)
Nb (0.305, 0.316, 0.606)
Nb (0.305, 0.652, 0.570)
Nb (0.306, 0.318, 0.399)
Nb (0.306, 0.652, 0.068)
Nb (0.307, 0.318, 0.898)
Nb (0.308, 0.315, 0.105)
Nb (0.310, 0.984, 0.733)
Nb (0.805, 0.152, 0.570)
Nb (0.805, 0.816, 0.606)
Nb (0.806, 0.481, 0.234)
Nb (0.807, 0.818, 0.900)
Nb (0.807, 0.819, 0.398)
Nb (0.808, 0.152, 0.070)
Nb (0.810, 0.484, 0.733)
Si (0.000, 0.981, 0.836)
Si (0.019, 0.310, 0.505)
Si (0.108, 0.479, 0.338)
Si (0.113, 0.811, 0.004)
Si (0.117, 0.149, 0.670)
Si (0.150, 0.178, 0.004)
Si (0.150, 0.497, 0.669)
Si (0.150, 0.836, 0.337)
Si (0.154, 0.807, 0.669)
Si (0.160, 0.139, 0.339)
Si (0.172, 0.465, 0.005)
Si (0.437, 0.466, 0.505)
Si (0.450, 0.808, 0.171)
Si (0.453, 0.140, 0.836)
Si (0.463, 0.179, 0.504)
Si (0.464, 0.496, 0.168)
Si (0.464, 0.835, 0.837)
Si (0.497, 0.149, 0.170)
Si (0.503, 0.481, 0.835)
Si (0.520, 0.810, 0.504)
Si (0.595, 0.311, 0.004)
Si (0.609, 0.982, 0.337)
Si (0.617, 0.649, 0.670)
Si (0.644, 0.669, 0.004)
Si (0.648, 0.336, 0.339)
Si (0.650, 0.997, 0.669)
Si (0.654, 0.308, 0.669)
Si (0.665, 0.637, 0.337)
Si (0.665, 0.976, 0.004)
Si (0.938, 0.966, 0.505)
Si (0.951, 0.638, 0.838)
Si (0.960, 0.307, 0.169)
Si (0.963, 0.679, 0.504)
Si (0.964, 0.334, 0.837)
Si (0.967, 0.003, 0.172)
Si (0.999, 0.646, 0.171)
O (0.001, 0.475, 0.009)
O (0.026, 0.495, 0.400)
O (0.037, 0.827, 0.066)
O (0.047, 0.170, 0.733)
O (0.073, 0.999, 0.900)
O (0.081, 0.660, 0.233)
O (0.110, 0.976, 0.509)
O (0.119, 0.655, 0.828)
O (0.123, 0.302, 0.443)
O (0.124, 0.972, 0.782)
O (0.126, 0.638, 0.116)
O (0.128, 0.327, 0.155)
O (0.136, 0.315, 0.557)
O (0.140, 0.674, 0.509)
O (0.142, 0.340, 0.838)
O (0.144, 0.003, 0.175)
O (0.155, 0.762, 0.732)
O (0.176, 0.090, 0.401)
O (0.191, 0.388, 0.340)
O (0.192, 0.234, 0.943)
O (0.193, 0.720, 0.006)
O (0.197, 0.902, 0.282)
O (0.198, 0.567, 0.616)
O (0.200, 0.060, 0.672)
O (0.206, 0.743, 0.330)
O (0.212, 0.234, 0.057)
O (0.215, 0.869, 0.400)
O (0.216, 0.407, 0.653)
O (0.218, 0.087, 0.008)
O (0.222, 0.408, 0.060)
O (0.222, 0.553, 0.334)
O (0.224, 0.226, 0.654)
O (0.224, 0.886, 0.997)
O (0.233, 0.521, 0.729)
O (0.233, 0.747, 0.617)
O (0.234, 0.898, 0.673)
O (0.237, 0.079, 0.285)
O (0.238, 0.416, 0.945)
O (0.254, 0.555, 0.011)
O (0.257, 0.225, 0.340)
O (0.356, 0.894, 0.173)
O (0.357, 0.226, 0.838)
O (0.357, 0.557, 0.509)
O (0.373, 0.416, 0.445)
O (0.376, 0.078, 0.783)
O (0.377, 0.747, 0.116)
O (0.386, 0.517, 0.230)
O (0.388, 0.224, 0.153)
O (0.389, 0.408, 0.560)
O (0.392, 0.089, 0.509)
O (0.393, 0.557, 0.828)
O (0.400, 0.406, 0.152)
O (0.401, 0.235, 0.557)
O (0.403, 0.868, 0.899)
O (0.406, 0.743, 0.828)
O (0.411, 0.902, 0.783)
O (0.418, 0.058, 0.172)
O (0.418, 0.390, 0.839)
O (0.419, 0.568, 0.116)
O (0.419, 0.891, 0.509)
O (0.422, 0.234, 0.443)
O (0.424, 0.724, 0.510)
O (0.434, 0.758, 0.233)
O (0.442, 0.095, 0.899)
O (0.466, 0.671, 0.006)
O (0.471, 0.341, 0.339)
O (0.476, 0.995, 0.675)
O (0.477, 0.315, 0.057)
O (0.483, 0.638, 0.618)
O (0.485, 0.326, 0.655)
O (0.488, 0.972, 0.281)
O (0.489, 0.302, 0.943)
O (0.497, 0.656, 0.332)
O (0.497, 0.994, 0.997)
O (0.528, 0.997, 0.399)
O (0.547, 0.670, 0.733)
O (0.562, 0.172, 0.233)
O (0.584, 0.495, 0.898)
O (0.609, 0.476, 0.510)
O (0.618, 0.826, 0.166)
O (0.621, 0.156, 0.826)
O (0.623, 0.802, 0.443)
O (0.624, 0.472, 0.780)
O (0.630, 0.138, 0.118)
O (0.636, 0.815, 0.557)
O (0.640, 0.174, 0.509)
O (0.640, 0.500, 0.173)
O (0.643, 0.839, 0.840)
O (0.655, 0.263, 0.732)
O (0.677, 0.929, 0.066)
O (0.681, 0.588, 0.399)
O (0.688, 0.225, 0.011)
O (0.693, 0.891, 0.340)
O (0.695, 0.391, 0.008)
O (0.695, 0.735, 0.949)
O (0.698, 0.067, 0.616)
O (0.700, 0.560, 0.672)
O (0.702, 0.401, 0.284)
O (0.703, 0.576, 0.998)
O (0.706, 0.243, 0.333)
O (0.707, 0.699, 0.066)
O (0.712, 0.369, 0.401)
O (0.715, 0.906, 0.653)
O (0.718, 0.057, 0.329)
O (0.723, 0.726, 0.654)
O (0.732, 0.021, 0.729)
O (0.733, 0.247, 0.617)
O (0.735, 0.398, 0.672)
O (0.735, 0.580, 0.281)
O (0.738, 0.915, 0.949)
O (0.759, 0.725, 0.339)
O (0.761, 0.062, 0.005)
O (0.857, 0.057, 0.510)
O (0.857, 0.725, 0.841)
O (0.873, 0.916, 0.445)
O (0.875, 0.396, 0.173)
O (0.876, 0.578, 0.784)
O (0.880, 0.248, 0.117)
O (0.889, 0.721, 0.166)
O (0.890, 0.056, 0.827)
O (0.890, 0.908, 0.560)
O (0.892, 0.589, 0.510)
O (0.899, 0.036, 0.233)
O (0.901, 0.361, 0.901)
O (0.901, 0.735, 0.557)
O (0.906, 0.241, 0.827)
O (0.910, 0.402, 0.784)
O (0.912, 0.067, 0.116)
O (0.912, 0.910, 0.166)
O (0.915, 0.556, 0.173)
O (0.918, 0.890, 0.840)
O (0.919, 0.391, 0.509)
O (0.922, 0.734, 0.443)
O (0.924, 0.224, 0.510)
O (0.939, 0.591, 0.901)
O (0.961, 0.264, 0.233)
O (0.971, 0.840, 0.340)
O (0.973, 0.176, 0.010)
O (0.976, 0.495, 0.675)
O (0.983, 0.138, 0.618)
O (0.985, 0.826, 0.655)
O (0.987, 0.472, 0.282)
O (0.987, 0.804, 0.949)
O (0.992, 0.157, 0.331)

As for the mass density: 3.3 g cm⁻³. The space-group type is P1.

---

Which energy of formation from the pure elements belongs to each record? In order, -2.93; -2.96 eV/atom.